Record 1
The following is a DFT calculation (PBE-GGA) of a relaxed Hg2C3I7N9 crystal.

Computed properties:
Electronic total energy (eV/cell): -390.79

Lattice parameters (Å, degrees): 12.099 12.781 17.631 90.00 103.67 90.00
Space group C2/c (No. 15)
Asymmetric unit:
Hg1 0.081 0.017 0.367 x8
C1 0.000 0.424 0.750 x4
C2 0.159 0.410 0.948 x8
I1 0.000 0.174 0.250 x4
I2 0.079 0.165 0.483 x8
I3 0.147 0.128 0.653 x8
I4 0.210 0.140 0.825 x8
N1 0.000 0.469 0.250 x4
N2 0.040 0.432 0.592 x8
N3 0.058 0.456 0.920 x8
N4 0.108 0.402 0.759 x8
N5 0.245 0.106 0.021 x8

Record 2
The following is a DFT calculation (PBE-GGA) of a relaxed Ca4Ir crystal.

Computed properties:
Electronic total energy (eV/cell): -129.63

Lattice parameters (Å, degrees): 11.635 11.635 11.635 90.00 90.00 90.00
Space group Fd-3m (No. 227, origin choice 2)
Asymmetric unit:
Ca1 0.005 0.005 0.245 x32
Ir1 0.125 0.125 0.625 x8

Record 3
The following is a DFT calculation (PBE-GGA) of a relaxed K3AlI6 crystal.

Computed properties:
Electronic total energy (eV/cell): -106.71

Lattice parameters (Å, degrees): 12.224 12.224 12.224 90.00 90.00 90.00
Space group Fm-3m (No. 225)
Asymmetric unit:
K1 0.000 0.000 0.000 x4
K2 0.250 0.250 0.250 x8
Al1 0.000 0.000 0.500 x4
I1 0.000 0.000 0.273 x24

Record 4
The following is a DFT calculation (PBE-GGA) of a relaxed NpP4S12 crystal.

Computed properties:
Electronic total energy (eV/cell): -363.46

Lattice parameters (Å, degrees): 13.245 13.245 9.876 90.00 90.00 90.00
Space group I4_1/a (No. 88, origin choice 2)
Asymmetric unit:
Np1 0.000 0.250 0.125 x4
P1 0.006 0.066 0.381 x16
S1 0.064 0.420 0.574 x16
S2 0.083 0.366 0.905 x16
S3 0.091 0.428 0.226 x16

Record 5
The following is a DFT calculation (PBE-GGA) of a relaxed K2Ti6O13 crystal.

Computed properties:
Electronic total energy (eV/cell): -350.65

Lattice parameters (Å, degrees): 15.824 3.820 9.236 90.00 100.08 90.00
Space group C2/m (No. 12)
Asymmetric unit:
K1 0.044 0.000 0.251 x4
Ti1 0.115 0.500 0.596 x4
Ti2 0.172 0.500 0.937 x4
Ti3 0.232 0.500 0.276 x4
O1 0.000 0.500 0.500 x2
O2 0.079 0.500 0.790 x4
O3 0.135 0.500 0.115 x4
O4 0.142 0.000 0.612 x4
O5 0.166 0.500 0.414 x4
O6 0.203 0.000 0.929 x4
O7 0.239 0.500 0.740 x4

Record 6
The following is a DFT calculation (PBE-GGA) of a relaxed VS2 crystal.

Computed properties:
Electronic total energy (eV/cell): -18.21

Lattice parameters (Å, degrees): 2.885 3.490 28.150 90.00 90.00 90.00
Space group Pmmm (No. 47)
Asymmetric unit:
V1 0.000 0.000 0.000 x1
S1 0.500 0.000 0.061 x2

Record 7
The following is a DFT calculation (PBE-GGA) of a relaxed F crystal.

Computed properties:
Energy relative to the lowest polymorph listed for this composition (eV per atom): 0.012

Lattice parameters (Å, degrees): 5.503 3.281 7.255 90.00 102.22 90.00
Space group C2/m (No. 12)
Asymmetric unit:
F1 0.005 0.000 0.099 x4
F2 0.050 0.500 0.599 x4

Record 8
The following is a DFT calculation (PBE-GGA) of a relaxed Rb2ScHgI6 crystal.

Computed properties:
Electronic total energy (eV/cell): -113.48

Lattice parameters (Å, degrees): 12.212 12.212 12.212 90.00 90.00 90.00
Space group Fm-3m (No. 225)
Asymmetric unit:
Rb1 0.250 0.250 0.250 x8
Sc1 0.000 0.000 0.000 x4
Hg1 0.000 0.000 0.500 x4
I1 0.000 0.000 0.238 x24

Record 9
The following is a DFT calculation (PBE-GGA) of a relaxed Eu2MgSe4 crystal.

Computed properties:
Energy relative to the lowest polymorph listed for this composition (eV per atom): 0.000

Lattice parameters (Å, degrees): 13.875 8.186 13.195 90.00 90.00 90.00
Space group Pca2_1 (No. 29)
Asymmetric unit:
Eu1 0.109 0.116 0.000 x4
Eu2 0.127 0.618 0.639 x4
Eu3 0.136 0.370 0.306 x4
Eu4 0.137 0.872 0.308 x4
Mg1 0.110 0.619 0.008 x4
Mg2 0.126 0.122 0.634 x4
Se1 0.010 0.118 0.198 x4
Se2 0.018 0.632 0.188 x4
Se3 0.025 0.615 0.443 x4
Se4 0.039 0.134 0.455 x4
Se5 0.209 0.121 0.811 x4
Se6 0.210 0.620 0.839 x4
Se7 0.233 0.867 0.086 x4
Se8 0.234 0.365 0.089 x4

Record 10
The following is a DFT calculation (PBE-GGA) of a relaxed Na2YInP2SO12 crystal.

Computed properties:
Electronic total energy (eV/cell): -769.67

Lattice parameters (Å, degrees): 9.121 9.139 23.492 89.59 89.57 60.17
Space group P1 (No. 1)
Asymmetric unit:
Na1 0.000 0.000 0.000 x1
Na2 0.009 0.988 0.499 x1
Na3 0.029 0.641 0.083 x1
Na4 0.318 0.689 0.919 x1
Na5 0.331 0.334 0.664 x1
Na6 0.341 0.323 0.166 x1
Na7 0.364 0.977 0.750 x1
Na8 0.652 0.021 0.584 x1
Na9 0.664 0.668 0.335 x1
Na10 0.675 0.659 0.832 x1
Na11 0.697 0.311 0.418 x1
Na12 0.987 0.354 0.253 x1
Y1 0.326 0.320 0.813 x1
Y2 0.652 0.644 0.183 x1
Y3 0.653 0.644 0.680 x1
Y4 0.661 0.651 0.982 x1
Y5 0.985 0.980 0.850 x1
Y6 0.991 0.985 0.150 x1
In1 0.316 0.313 0.015 x1
In2 0.322 0.308 0.513 x1
In3 0.326 0.317 0.318 x1
In4 0.658 0.652 0.482 x1
In5 0.983 0.980 0.350 x1
In6 0.993 0.985 0.647 x1
P1 0.026 0.317 0.414 x1
P2 0.031 0.611 0.918 x1
P3 0.282 0.692 0.748 x1
P4 0.324 0.020 0.915 x1
P5 0.356 0.643 0.079 x1
P6 0.358 0.948 0.581 x1
P7 0.619 0.019 0.417 x1
P8 0.657 0.348 0.578 x1
P9 0.691 0.277 0.253 x1
P10 0.695 0.983 0.744 x1
P11 0.961 0.350 0.083 x1
P12 0.996 0.680 0.251 x1
S1 0.285 0.987 0.253 x1
S2 0.323 0.613 0.416 x1
S3 0.618 0.316 0.918 x1
S4 0.652 0.953 0.082 x1
S5 0.959 0.648 0.580 x1
S6 0.991 0.277 0.748 x1
O1 0.004 0.157 0.410 x1
O2 0.015 0.174 0.696 x1
O3 0.019 0.757 0.195 x1
O4 0.019 0.787 0.914 x1
O5 0.102 0.343 0.358 x1
O6 0.124 0.504 0.866 x1
O7 0.130 0.500 0.574 x1
O8 0.133 0.295 0.467 x1
O9 0.136 0.535 0.973 x1
O10 0.137 0.341 0.079 x1
O11 0.150 0.287 0.751 x1
O12 0.153 0.498 0.256 x1
O13 0.164 0.000 0.913 x1
O14 0.173 0.797 0.085 x1
O15 0.174 0.783 0.695 x1
O16 0.175 0.784 0.410 x1
O17 0.179 0.969 0.586 x1
O18 0.182 0.011 0.201 x1
O19 0.205 0.795 0.803 x1
O20 0.206 0.962 0.304 x1
O21 0.294 0.146 0.256 x1
O22 0.297 0.535 0.468 x1
O23 0.304 0.514 0.751 x1
O24 0.310 0.124 0.968 x1
O25 0.339 0.481 0.077 x1
O26 0.343 0.099 0.859 x1
O27 0.348 0.124 0.576 x1
O28 0.353 0.507 0.365 x1
O29 0.433 0.668 0.024 x1
O30 0.447 0.837 0.529 x1
O31 0.456 0.840 0.247 x1
O32 0.458 0.681 0.743 x1
O33 0.463 0.629 0.131 x1
O34 0.466 0.872 0.636 x1
O35 0.478 0.837 0.918 x1
O36 0.482 0.623 0.421 x1
O37 0.496 0.327 0.574 x1
O38 0.504 0.124 0.077 x1
O39 0.509 0.105 0.364 x1
O40 0.512 0.137 0.748 x1
O41 0.513 0.296 0.258 x1
O42 0.517 0.337 0.867 x1
O43 0.538 0.294 0.970 x1
O44 0.546 0.129 0.471 x1
O45 0.627 0.474 0.921 x1
O46 0.630 0.873 0.134 x1
O47 0.637 0.454 0.630 x1
O48 0.639 0.841 0.422 x1
O49 0.674 0.823 0.743 x1
O50 0.678 0.848 0.032 x1
O51 0.679 0.453 0.247 x1
O52 0.684 0.426 0.523 x1
O53 0.774 0.005 0.688 x1
O54 0.780 0.170 0.201 x1
O55 0.789 0.170 0.914 x1
O56 0.796 0.008 0.411 x1
O57 0.798 0.970 0.797 x1
O58 0.802 0.203 0.307 x1
O59 0.811 0.962 0.086 x1
O60 0.813 0.164 0.584 x1
O61 0.837 0.659 0.247 x1
O62 0.842 0.473 0.420 x1
O63 0.844 0.448 0.743 x1
O64 0.851 0.677 0.530 x1
O65 0.853 0.442 0.031 x1
O66 0.854 0.631 0.920 x1
O67 0.880 0.458 0.137 x1
O68 0.881 0.624 0.632 x1
O69 0.969 0.807 0.585 x1
O70 0.970 0.199 0.799 x1
O71 0.977 0.789 0.303 x1
O72 0.981 0.173 0.087 x1

Record 11
The following is a DFT calculation (PBE-GGA) of a relaxed KNaLaTaO5 crystal.

Computed properties:
Electronic total energy (eV/cell): -137.79

Lattice parameters (Å, degrees): 5.849 5.849 8.360 90.00 90.00 90.00
Space group P4/nmm (No. 129, origin choice 2)
Asymmetric unit:
K1 0.250 0.750 0.000 x2
Na1 0.250 0.250 0.241 x2
La1 0.250 0.750 0.500 x2
Ta1 0.250 0.250 0.746 x2
O1 0.022 0.022 0.675 x8
O2 0.250 0.250 0.968 x2

Record 12
The following is a DFT calculation (PBE-GGA) of a relaxed Mg6CuBiO8 crystal.

Computed properties:
Energy relative to the lowest polymorph listed for this composition (eV per atom): 0.000

Lattice parameters (Å, degrees): 4.453 4.453 8.964 90.00 90.00 90.00
Space group P4/mmm (No. 123)
Asymmetric unit:
Mg1 0.000 0.000 0.000 x1
Mg2 0.000 0.500 0.235 x4
Mg3 0.500 0.500 0.000 x1
Cu1 0.000 0.000 0.500 x1
Bi1 0.500 0.500 0.500 x1
O1 0.000 0.000 0.229 x2
O2 0.000 0.500 0.000 x2
O3 0.000 0.500 0.500 x2
O4 0.500 0.500 0.231 x2